[1]
Compound: Na6Ca16Nb8Si3S33O144
Source: the Materials Project
Functional: PBE
Structure: relaxed

Computed properties:
- Crystal system: triclinic
- Energy of formation from the pure elements: -506.867 eV per formula unit

```
data_Na6Ca16Nb8Si3S33O144
_chemical_formula_sum 'Na6 Ca16 Nb8 Si3 S33 O144'
_symmetry_space_group_name_H-M 'P 1'
_symmetry_Int_Tables_number 1
_symmetry_space_group_name_Hall 'P 1'
_cell_length_a 9.105
_cell_length_b 15.762
_cell_length_c 23.718
_cell_angle_alpha 89.98
_cell_angle_beta 89.99
_cell_angle_gamma 89.97
loop_
_atom_site_label
_atom_site_type_symbol
_atom_site_fract_x
_atom_site_fract_y
_atom_site_fract_z
_atom_site_occupancy
Na1 Na 0.000 0.000 0.000 1
Na2 Na 0.005 0.998 0.491 1
Na3 Na 0.022 0.333 0.842 1
Na4 Na 0.487 0.842 0.334 1
Na5 Na 0.496 0.488 0.506 1
Na6 Na 0.502 0.496 0.993 1
Ca1 Ca 0.006 0.002 0.647 1
Ca2 Ca 0.006 0.668 0.810 1
Ca3 Ca 0.006 0.994 0.151 1
Ca4 Ca 0.007 0.002 0.852 1
Ca5 Ca 0.008 0.338 0.476 1
Ca6 Ca 0.010 0.334 0.979 1
Ca7 Ca 0.011 0.002 0.356 1
Ca8 Ca 0.498 0.832 0.474 1
Ca9 Ca 0.500 0.172 0.811 1
Ca10 Ca 0.502 0.492 0.855 1
Ca11 Ca 0.502 0.838 0.179 1
Ca12 Ca 0.504 0.166 0.310 1
Ca13 Ca 0.505 0.497 0.649 1
Ca14 Ca 0.506 0.494 0.352 1
Ca15 Ca 0.507 0.836 0.979 1
Ca16 Ca 0.508 0.506 0.150 1
Nb1 Nb 0.005 0.667 0.018 1
Nb2 Nb 0.006 0.333 0.183 1
Nb3 Nb 0.010 0.672 0.522 1
Nb4 Nb 0.013 0.672 0.314 1
Nb5 Nb 0.015 0.333 0.681 1
Nb6 Nb 0.501 0.171 0.522 1
Nb7 Nb 0.503 0.172 0.016 1
Nb8 Nb 0.504 0.836 0.685 1
Si1 Si 0.149 0.813 0.417 1
Si2 Si 0.300 0.337 0.578 1
Si3 Si 0.355 0.318 0.914 1
S1 S 0.144 0.532 0.417 1
S2 S 0.145 0.483 0.082 1
S3 S 0.146 0.154 0.746 1
S4 S 0.157 0.190 0.083 1
S5 S 0.162 0.854 0.746 1
S6 S 0.201 0.830 0.078 1
S7 S 0.202 0.496 0.746 1
S8 S 0.222 0.167 0.420 1
S9 S 0.291 0.667 0.919 1
S10 S 0.303 0.998 0.250 1
S11 S 0.348 0.354 0.246 1
S12 S 0.353 0.650 0.253 1
S13 S 0.355 0.692 0.582 1
S14 S 0.359 0.026 0.919 1
S15 S 0.367 0.981 0.582 1
S16 S 0.642 0.310 0.419 1
S17 S 0.648 0.654 0.746 1
S18 S 0.651 0.027 0.420 1
S19 S 0.654 0.988 0.079 1
S20 S 0.662 0.684 0.079 1
S21 S 0.670 0.353 0.747 1
S22 S 0.706 0.996 0.746 1
S23 S 0.713 0.330 0.083 1
S24 S 0.732 0.665 0.417 1
S25 S 0.791 0.165 0.918 1
S26 S 0.794 0.830 0.582 1
S27 S 0.813 0.500 0.249 1
S28 S 0.854 0.191 0.581 1
S29 S 0.854 0.848 0.253 1
S30 S 0.860 0.527 0.918 1
S31 S 0.861 0.154 0.246 1
S32 S 0.867 0.483 0.581 1
S33 S 0.867 0.811 0.919 1
O1 O 0.059 0.899 0.421 1
O2 O 0.069 0.452 0.419 1
O3 O 0.070 0.568 0.075 1
O4 O 0.071 0.243 0.736 1
O5 O 0.076 0.120 0.798 1
O6 O 0.076 0.440 0.133 1
O7 O 0.084 0.753 0.474 1
O8 O 0.089 0.578 0.366 1
O9 O 0.090 0.751 0.362 1
O10 O 0.092 0.229 0.034 1
O11 O 0.097 0.106 0.094 1
O12 O 0.097 0.901 0.083 1
O13 O 0.098 0.893 0.697 1
O14 O 0.099 0.565 0.754 1
O15 O 0.102 0.416 0.735 1
O16 O 0.104 0.584 0.469 1
O17 O 0.104 0.750 0.067 1
O18 O 0.112 0.103 0.697 1
O19 O 0.112 0.767 0.754 1
O20 O 0.121 0.248 0.134 1
O21 O 0.121 0.432 0.033 1
O22 O 0.130 0.240 0.427 1
O23 O 0.138 0.086 0.424 1
O24 O 0.153 0.906 0.797 1
O25 O 0.179 0.345 0.230 1
O26 O 0.180 0.326 0.920 1
O27 O 0.181 0.660 0.970 1
O28 O 0.182 0.323 0.636 1
O29 O 0.185 0.658 0.265 1
O30 O 0.186 0.685 0.575 1
O31 O 0.197 0.024 0.922 1
O32 O 0.197 0.344 0.526 1
O33 O 0.203 0.675 0.868 1
O34 O 0.208 0.988 0.301 1
O35 O 0.211 0.995 0.591 1
O36 O 0.213 0.004 0.199 1
O37 O 0.280 0.811 0.130 1
O38 O 0.285 0.475 0.797 1
O39 O 0.293 0.507 0.697 1
O40 O 0.296 0.842 0.030 1
O41 O 0.302 0.169 0.752 1
O42 O 0.302 0.498 0.092 1
O43 O 0.305 0.528 0.415 1
O44 O 0.308 0.173 0.369 1
O45 O 0.322 0.186 0.078 1
O46 O 0.323 0.808 0.413 1
O47 O 0.330 0.160 0.471 1
O48 O 0.331 0.845 0.732 1
O49 O 0.354 0.406 0.297 1
O50 O 0.367 0.601 0.202 1
O51 O 0.375 0.588 0.922 1
O52 O 0.377 0.742 0.929 1
O53 O 0.382 0.748 0.633 1
O54 O 0.391 0.928 0.533 1
O55 O 0.395 0.073 0.254 1
O56 O 0.399 0.243 0.569 1
O57 O 0.399 0.262 0.862 1
O58 O 0.399 0.268 0.253 1
O59 O 0.399 0.920 0.247 1
O60 O 0.406 0.083 0.971 1
O61 O 0.408 0.737 0.248 1
O62 O 0.411 0.606 0.591 1
O63 O 0.413 0.395 0.197 1
O64 O 0.414 0.064 0.868 1
O65 O 0.416 0.608 0.303 1
O66 O 0.416 0.730 0.532 1
O67 O 0.417 0.409 0.587 1
O68 O 0.424 0.943 0.929 1
O69 O 0.426 0.256 0.973 1
O70 O 0.434 0.937 0.633 1
O71 O 0.444 0.065 0.576 1
O72 O 0.445 0.405 0.924 1
O73 O 0.565 0.394 0.422 1
O74 O 0.572 0.625 0.797 1
O75 O 0.575 0.744 0.730 1
O76 O 0.581 0.260 0.471 1
O77 O 0.583 0.074 0.068 1
O78 O 0.588 0.941 0.425 1
O79 O 0.589 0.954 0.131 1
O80 O 0.596 0.725 0.030 1
O81 O 0.597 0.065 0.368 1
O82 O 0.601 0.064 0.753 1
O83 O 0.603 0.079 0.471 1
O84 O 0.605 0.393 0.698 1
O85 O 0.608 0.265 0.368 1
O86 O 0.608 0.596 0.084 1
O87 O 0.609 0.915 0.731 1
O88 O 0.614 0.401 0.094 1
O89 O 0.617 0.267 0.754 1
O90 O 0.621 0.603 0.696 1
O91 O 0.626 0.933 0.030 1
O92 O 0.628 0.249 0.077 1
O93 O 0.642 0.588 0.414 1
O94 O 0.648 0.744 0.418 1
O95 O 0.650 0.733 0.131 1
O96 O 0.660 0.406 0.798 1
O97 O 0.688 0.160 0.971 1
O98 O 0.688 0.185 0.574 1
O99 O 0.697 0.830 0.248 1
O100 O 0.698 0.528 0.921 1
O101 O 0.698 0.817 0.633 1
O102 O 0.706 0.170 0.867 1
O103 O 0.706 0.841 0.532 1
O104 O 0.707 0.174 0.253 1
O105 O 0.710 0.818 0.928 1
O106 O 0.712 0.502 0.590 1
O107 O 0.725 0.520 0.200 1
O108 O 0.726 0.477 0.299 1
O109 O 0.790 0.973 0.797 1
O110 O 0.798 0.006 0.697 1
O111 O 0.798 0.318 0.428 1
O112 O 0.802 0.345 0.033 1
O113 O 0.802 0.674 0.754 1
O114 O 0.813 0.024 0.421 1
O115 O 0.814 0.002 0.084 1
O116 O 0.818 0.320 0.134 1
O117 O 0.827 0.659 0.469 1
O118 O 0.827 0.668 0.365 1
O119 O 0.828 0.676 0.066 1
O120 O 0.837 0.345 0.733 1
O121 O 0.880 0.086 0.921 1
O122 O 0.880 0.241 0.926 1
O123 O 0.883 0.246 0.633 1
O124 O 0.886 0.432 0.531 1
O125 O 0.886 0.900 0.303 1
O126 O 0.887 0.748 0.575 1
O127 O 0.889 0.101 0.197 1
O128 O 0.897 0.899 0.591 1
O129 O 0.899 0.764 0.868 1
O130 O 0.909 0.105 0.590 1
O131 O 0.911 0.424 0.234 1
O132 O 0.911 0.580 0.970 1
O133 O 0.914 0.571 0.263 1
O134 O 0.916 0.229 0.531 1
O135 O 0.916 0.566 0.867 1
O136 O 0.923 0.443 0.925 1
O137 O 0.924 0.877 0.202 1
O138 O 0.925 0.758 0.265 1
O139 O 0.929 0.759 0.970 1
O140 O 0.934 0.244 0.230 1
O141 O 0.934 0.441 0.632 1
O142 O 0.935 0.125 0.297 1
O143 O 0.944 0.893 0.921 1
O144 O 0.946 0.568 0.572 1
```

[2]
Compound: ReH22C4S4N8Cl8O3
Source: the Materials Project
Functional: PBE
Structure: relaxed

Computed properties:
- Crystal system: orthorhombic
- Offset from the most stable computed form: 0.19 eV per formula unit
- Energy of formation from the pure elements: -27.850 eV per formula unit

```
data_ReH22C4S4N8Cl8O3
_chemical_formula_sum 'Re4 H88 C16 S16 N32 Cl32 O12'
_symmetry_space_group_name_H-M 'P n m a'
_symmetry_Int_Tables_number 62
_symmetry_space_group_name_Hall '-P 2ac 2n'
_cell_length_a 17.795
_cell_length_b 17.011
_cell_length_c 9.072
_cell_angle_alpha 90.00
_cell_angle_beta 90.00
_cell_angle_gamma 90.00
loop_
_atom_site_label
_atom_site_type_symbol
_atom_site_fract_x
_atom_site_fract_y
_atom_site_fract_z
_atom_site_occupancy
Re1 Re 0.061 0.250 0.160 1
H1 H 0.028 0.624 0.406 1
H2 H 0.030 0.559 0.745 1
H3 H 0.046 0.006 0.328 1
H4 H 0.064 0.167 0.609 1
H5 H 0.137 0.250 0.888 1
H6 H 0.140 0.058 0.000 1
H7 H 0.155 0.007 0.166 1
H8 H 0.180 0.750 0.756 1
H9 H 0.189 0.626 0.159 1
H10 H 0.192 0.703 0.477 1
H11 H 0.201 0.673 0.983 1
H12 H 0.202 0.250 0.014 1
H13 H 0.241 0.250 0.329 1
C1 C 0.053 0.053 0.679 1
C2 C 0.172 0.557 0.980 1
S1 S 0.150 0.054 0.726 1
S2 S 0.172 0.560 0.783 1
N1 N 0.010 0.509 0.699 1
N2 N 0.028 0.119 0.619 1
N3 N 0.154 0.007 0.054 1
N4 N 0.192 0.623 0.045 1
Cl1 Cl 0.002 0.151 0.018 1
Cl2 Cl 0.034 0.750 0.660 1
Cl3 Cl 0.132 0.153 0.286 1
Cl4 Cl 0.154 0.250 0.667 1
Cl5 Cl 0.154 0.584 0.389 1
O1 O 0.145 0.250 0.998 1
O2 O 0.205 0.750 0.852 1
O3 O 0.212 0.750 0.528 1
```

Question: Which formula does entry 2 have?
Answer: ReH22C4S4N8Cl8O3

What did the second record say?
Compound: ReH22C4S4N8Cl8O3
Source: the Materials Project
Functional: PBE
Structure: relaxed

Computed properties:
- Crystal system: orthorhombic
- Offset from the most stable computed form: 0.19 eV per formula unit
- Energy of formation from the pure elements: -27.850 eV per formula unit

```
data_ReH22C4S4N8Cl8O3
_chemical_formula_sum 'Re4 H88 C16 S16 N32 Cl32 O12'
_symmetry_space_group_name_H-M 'P n m a'
_symmetry_Int_Tables_number 62
_symmetry_space_group_name_Hall '-P 2ac 2n'
_cell_length_a 17.795
_cell_length_b 17.011
_cell_length_c 9.072
_cell_angle_alpha 90.00
_cell_angle_beta 90.00
_cell_angle_gamma 90.00
loop_
_atom_site_label
_atom_site_type_symbol
_atom_site_fract_x
_atom_site_fract_y
_atom_site_fract_z
_atom_site_occupancy
Re1 Re 0.061 0.250 0.160 1
H1 H 0.028 0.624 0.406 1
H2 H 0.030 0.559 0.745 1
H3 H 0.046 0.006 0.328 1
H4 H 0.064 0.167 0.609 1
H5 H 0.137 0.250 0.888 1
H6 H 0.140 0.058 0.000 1
H7 H 0.155 0.007 0.166 1
H8 H 0.180 0.750 0.756 1
H9 H 0.189 0.626 0.159 1
H10 H 0.192 0.703 0.477 1
H11 H 0.201 0.673 0.983 1
H12 H 0.202 0.250 0.014 1
H13 H 0.241 0.250 0.329 1
C1 C 0.053 0.053 0.679 1
C2 C 0.172 0.557 0.980 1
S1 S 0.150 0.054 0.726 1
S2 S 0.172 0.560 0.783 1
N1 N 0.010 0.509 0.699 1
N2 N 0.028 0.119 0.619 1
N3 N 0.154 0.007 0.054 1
N4 N 0.192 0.623 0.045 1
Cl1 Cl 0.002 0.151 0.018 1
Cl2 Cl 0.034 0.750 0.660 1
Cl3 Cl 0.132 0.153 0.286 1
Cl4 Cl 0.154 0.250 0.667 1
Cl5 Cl 0.154 0.584 0.389 1
O1 O 0.145 0.250 0.998 1
O2 O 0.205 0.750 0.852 1
O3 O 0.212 0.750 0.528 1
```

Question: What is the energy of formation from the pure elements in the second record?
Answer: -27.850 eV per formula unit